First-principles (PBE) data for a geometry-optimized La12C6I17 structure, as listed in the Materials Project.

```
data_La12C6I17
_symmetry_space_group_name_H-M 'C 1 2/c 1'
_symmetry_Int_Tables_number 15
_cell_length_a 20.4960
_cell_length_b 12.8303
_cell_length_c 19.6939
_cell_angle_alpha 90.00
_cell_angle_beta 90.82
_cell_angle_gamma 90.00
loop_
_symmetry_equiv_pos_as_xyz
'x,y,z'
'-x,-y,-z'
'-x,y,-z+1/2'
'x,-y,z+1/2'
'x+1/2,y+1/2,z'
'-x+1/2,-y+1/2,-z'
'-x+1/2,y+1/2,-z+1/2'
'x+1/2,-y+1/2,z+1/2'
loop_
_atom_site_label
_atom_site_fract_x
_atom_site_fract_y
_atom_site_fract_z
_atom_site_occupancy
La1 0.0045 0.2091 0.4791 1
La2 0.0417 0.0062 0.8707 1
La3 0.0481 0.4728 0.3478 1
La4 0.0733 0.2350 0.2107 1
La5 0.1417 0.0008 0.0497 1
La6 0.1634 0.2381 0.3820 1
C1 0.0325 0.9998 0.0114 1
C2 0.0444 0.1787 0.3504 1
C3 0.0451 0.2884 0.3474 1
I1 0.0000 0.5000 0.0000 1
I2 0.0439 0.2625 0.8617 1
I3 0.1016 0.0241 0.7080 1
I4 0.1038 0.4896 0.1966 1
I5 0.1463 0.2506 0.0587 1
I6 0.1531 0.2533 0.5490 1
I7 0.1969 0.4859 0.3993 1
I8 0.2003 0.0090 0.8990 1
I9 0.2335 0.2347 0.2440 1
```

First-principles (PBE) data for a geometry-optimized La4CI6N structure, as listed in the Materials Project.

```
data_La4CI6N
_symmetry_space_group_name_H-M 'P 42/m n m'
_symmetry_Int_Tables_number 136
_symmetry_space_group_name_Hall '-P 4n 2n'
_cell_length_a 14.3239
_cell_length_b 14.3239
_cell_length_c 9.8109
_cell_angle_alpha 90.00
_cell_angle_beta 90.00
_cell_angle_gamma 90.00
loop_
_atom_site_label
_atom_site_fract_x
_atom_site_fract_y
_atom_site_fract_z
_atom_site_occupancy
La1 0.0886 0.0886 0.1949 1
La2 0.0901 0.9099 0.5000 1
La3 0.1523 0.8477 0.0000 1
C1 0.0351 0.9649 0.0000 1
I1 0.0503 0.7370 0.2496 1
I2 0.1729 0.1729 0.5000 1
I3 0.2195 0.2195 0.0000 1
N1 0.0000 0.0000 0.3496 1
```

First-principles (PBE) data for a geometry-optimized PbCI3N structure, as listed in the Materials Project.

```
data_PbCI3N
_symmetry_space_group_name_H-M 'P 4 m m'
_symmetry_Int_Tables_number 99
_cell_length_a 6.3115
_cell_length_b 6.3115
_cell_length_c 6.2827
_cell_angle_alpha 90.00
_cell_angle_beta 90.00
_cell_angle_gamma 90.00
loop_
_symmetry_equiv_pos_as_xyz
'x,y,z'
'-y,x,z'
'-x,-y,z'
'y,-x,z'
'-x,y,z'
'y,x,z'
'x,-y,z'
'-y,-x,z'
loop_
_atom_site_label
_atom_site_fract_x
_atom_site_fract_y
_atom_site_fract_z
_atom_site_occupancy
Pb1 0.0000 0.0000 0.0000 1
C1 0.5000 0.5000 0.4077 1
I1 0.0000 0.0000 0.4947 1
I2 0.0000 0.5000 0.0080 1
N1 0.5000 0.5000 0.5952 1
```

First-principles (PBE) data for a geometry-optimized PbCI3N2 structure, as listed in the Materials Project.

```
data_PbCI3N2
_symmetry_space_group_name_H-M 'C 1 c 1'
_symmetry_Int_Tables_number 9
_cell_length_a 8.8796
_cell_length_b 16.1157
_cell_length_c 7.6324
_cell_angle_alpha 90.00
_cell_angle_beta 91.11
_cell_angle_gamma 90.00
loop_
_symmetry_equiv_pos_as_xyz
'x,y,z'
'x,-y,z+1/2'
'x+1/2,y+1/2,z'
'x+1/2,-y+1/2,z+1/2'
loop_
_atom_site_label
_atom_site_fract_x
_atom_site_fract_y
_atom_site_fract_z
_atom_site_occupancy
Pb1 0.0000 0.9998 0.0000 1
C1 0.4630 0.1540 0.3490 1
I1 0.0024 0.1551 0.2527 1
I2 0.2431 0.0785 0.7551 1
I3 0.2638 0.4208 0.2462 1
N1 0.0313 0.4130 0.8533 1
N2 0.3958 0.2210 0.3521 1
```

First-principles (PBE) data for a geometry-optimized PtC4I4N structure, as listed in the Materials Project.

```
data_PtC4I4N
_symmetry_space_group_name_H-M 'I m a 2'
_symmetry_Int_Tables_number 46
_cell_length_a 13.7694
_cell_length_b 12.0783
_cell_length_c 16.3092
_cell_angle_alpha 90.00
_cell_angle_beta 90.00
_cell_angle_gamma 90.00
loop_
_symmetry_equiv_pos_as_xyz
'x,y,z'
'-x,-y,z'
'-x+1/2,y,z'
'x+1/2,-y,z'
'x+1/2,y+1/2,z+1/2'
'-x+1/2,-y+1/2,z+1/2'
'-x,y+1/2,z+1/2'
'x,-y+1/2,z+1/2'
loop_
_atom_site_label
_atom_site_fract_x
_atom_site_fract_y
_atom_site_fract_z
_atom_site_occupancy
Pt1 0.2500 0.1295 0.0000 1
Pt2 0.2500 0.6822 0.4291 1
C1 0.0509 0.0119 0.7367 1
C2 0.0578 0.5234 0.1543 1
C3 0.0708 0.5562 0.7722 1
C4 0.1411 0.6059 0.8036 1
I1 0.0552 0.1424 0.9923 1
I2 0.2500 0.0112 0.8531 1
I3 0.2500 0.1683 0.4363 1
I4 0.2500 0.2159 0.1499 1
I5 0.2500 0.5753 0.5677 1
I6 0.2500 0.6347 0.0142 1
I7 0.2500 0.7112 0.7924 1
N1 0.0000 0.0000 0.2456 1
N2 0.0000 0.0000 0.5894 1
```

First-principles (PBE) data for a geometry-optimized Rb2PtC4I2N4 structure, as listed in the Materials Project.

```
data_Rb2PtC4I2N4
_symmetry_space_group_name_H-M 'P 1 21/c 1'
_symmetry_Int_Tables_number 14
_cell_length_a 7.6329
_cell_length_b 9.7331
_cell_length_c 9.4027
_cell_angle_alpha 90.00
_cell_angle_beta 107.24
_cell_angle_gamma 90.00
loop_
_symmetry_equiv_pos_as_xyz
'x,y,z'
'-x,-y,-z'
'-x,y+1/2,-z+1/2'
'x,-y+1/2,z+1/2'
loop_
_atom_site_label
_atom_site_fract_x
_atom_site_fract_y
_atom_site_fract_z
_atom_site_occupancy
Rb1 0.0237 0.2171 0.3826 1
Pt1 0.5000 0.0000 0.0000 1
C1 0.3049 0.0321 0.1018 1
C2 0.3113 0.0389 0.8032 1
I1 0.4112 0.7274 0.9712 1
N1 0.1877 0.0526 0.1563 1
N2 0.1967 0.0627 0.6919 1
```

First-principles (PBE) data for a geometry-optimized Nd12C6I17 structure, as listed in the Materials Project.

```
data_Nd12C6I17
_symmetry_space_group_name_H-M 'C 1 2/c 1'
_symmetry_Int_Tables_number 15
_cell_length_a 20.2447
_cell_length_b 12.6445
_cell_length_c 19.3561
_cell_angle_alpha 90.00
_cell_angle_beta 90.88
_cell_angle_gamma 90.00
loop_
_symmetry_equiv_pos_as_xyz
'x,y,z'
'-x,-y,-z'
'-x,y,-z+1/2'
'x,-y,z+1/2'
'x+1/2,y+1/2,z'
'-x+1/2,-y+1/2,-z'
'-x+1/2,y+1/2,-z+1/2'
'x+1/2,-y+1/2,z+1/2'
loop_
_atom_site_label
_atom_site_fract_x
_atom_site_fract_y
_atom_site_fract_z
_atom_site_occupancy
Nd1 0.0033 0.2063 0.4790 1
Nd2 0.0410 0.0072 0.8724 1
Nd3 0.0482 0.4715 0.3477 1
Nd4 0.0730 0.2349 0.2113 1
Nd5 0.1411 0.0006 0.5502 1
Nd6 0.1605 0.2373 0.3830 1
C1 0.0326 0.0006 0.5117 1
C2 0.0430 0.1768 0.3502 1
C3 0.0437 0.2875 0.3470 1
I1 0.0000 0.5000 0.0000 1
I2 0.0451 0.2616 0.8625 1
I3 0.1010 0.0248 0.7080 1
I4 0.1027 0.4907 0.1969 1
I5 0.1462 0.2486 0.0601 1
I6 0.1510 0.2536 0.5487 1
I7 0.1962 0.4836 0.3989 1
I8 0.1991 0.0092 0.8998 1
I9 0.2321 0.2340 0.2463 1
```

First-principles (PBE) data for a geometry-optimized OsC3IO3 structure, as listed in the Materials Project.

```
data_OsC3IO3
_symmetry_space_group_name_H-M 'P 1 21/m 1'
_symmetry_Int_Tables_number 11
_cell_length_a 6.5187
_cell_length_b 14.1850
_cell_length_c 7.4298
_cell_angle_alpha 90.00
_cell_angle_beta 91.11
_cell_angle_gamma 90.00
loop_
_symmetry_equiv_pos_as_xyz
'x,y,z'
'-x,-y,-z'
'-x,y+1/2,-z'
'x,-y+1/2,z'
loop_
_atom_site_label
_atom_site_fract_x
_atom_site_fract_y
_atom_site_fract_z
_atom_site_occupancy
Os1 0.2485 0.1513 0.2820 1
C1 0.0075 0.1191 0.1513 1
C2 0.1220 0.1268 0.5035 1
C3 0.3853 0.0320 0.2549 1
I1 0.3899 0.2500 0.9865 1
I2 0.4371 0.7500 0.5394 1
O1 0.0399 0.1095 0.6376 1
O2 0.1413 0.5976 0.9275 1
O3 0.4666 0.5409 0.2456 1
```

First-principles (PBE) data for a geometry-optimized Os3C12I2O12 structure, as listed in the Materials Project.

```
data_Os3C12I2O12
_symmetry_space_group_name_H-M 'P 1 21/c 1'
_symmetry_Int_Tables_number 14
_cell_length_a 9.3845
_cell_length_b 11.7017
_cell_length_c 12.7816
_cell_angle_alpha 90.00
_cell_angle_beta 126.32
_cell_angle_gamma 90.00
loop_
_symmetry_equiv_pos_as_xyz
'x,y,z'
'-x,-y,-z'
'-x,y+1/2,-z+1/2'
'x,-y+1/2,z+1/2'
loop_
_atom_site_label
_atom_site_fract_x
_atom_site_fract_y
_atom_site_fract_z
_atom_site_occupancy
Os1 0.0000 0.0000 0.0000 1
Os2 0.2654 0.1473 0.2259 1
C1 0.0544 0.2045 0.2063 1
C2 0.1211 0.0301 0.9205 1
C3 0.1518 0.6335 0.5895 1
C4 0.2913 0.0206 0.3299 1
C5 0.4292 0.2454 0.3697 1
C6 0.4419 0.0924 0.2011 1
I1 0.2167 0.1716 0.5622 1
O1 0.0703 0.7395 0.3064 1
O2 0.1897 0.0461 0.8706 1
O3 0.2454 0.7103 0.6445 1
O4 0.3083 0.5549 0.8955 1
O5 0.4535 0.5644 0.3141 1
O6 0.4728 0.6970 0.5422 1
```

no.,E (eV/cell),ΔE_f (eV/atom)
1,-734.76,-1.4178
2,-256.62,-1.5052
3,-22.56,0.4877
4,-125.26,0.3069
5,-378.84,0.9703
6,-166.88,-0.2727
7,-714.72,-1.3321
8,-241.24,-0.8862
9,-451.03,-0.9279